# Ca4In3Au10 PBE-GGA optimized geometry
# DFT total energy in eV/atom: -3.491
# Energy of formation from the pure elements in meV per atom: -608
data_Ca4In3Au10
_chemical_formula_sum 'Ca16 In12 Au40'
_cell_length_a 13.9986
_cell_length_b 10.2256
_cell_length_c 10.3236
_cell_angle_alpha 90.00
_cell_angle_beta 90.00
_cell_angle_gamma 90.00
_space_group_name_H-M_alt 'C m c e'
_space_group_IT_number 64
_space_group_name_Hall '-C 2ac 2'
loop_
_atom_site_label
_atom_site_type_symbol
_atom_site_fract_x
_atom_site_fract_y
_atom_site_fract_z
Ca1 Ca 0.0000 0.1971 0.2021
Ca2 Ca 0.1975 0.0000 0.0000
In1 In 0.0000 0.0000 0.5000
In2 In 0.2500 0.2307 0.2500
Au1 Au 0.0000 0.0982 0.9042
Au2 Au 0.1414 0.0273 0.7075
Au3 Au 0.1411 0.2071 0.4819

# AgH3O2 PBE-GGA optimized geometry
# DFT total energy in eV/atom: -4.535
# Energy of formation from the pure elements in meV per atom: -947
data_AgH3O2
_chemical_formula_sum 'Ag8 H24 O16'
_cell_length_a 6.1402
_cell_length_b 12.1998
_cell_length_c 6.3270
_cell_angle_alpha 90.00
_cell_angle_beta 90.00
_cell_angle_gamma 90.00
_space_group_name_H-M_alt 'P b c a'
_space_group_IT_number 61
loop_
_space_group_symop_operation_xyz
'x,y,z'
'-x,-y,-z'
'-x+1/2,-y,z+1/2'
'x+1/2,y,-z+1/2'
'x+1/2,-y+1/2,-z'
'-x+1/2,y+1/2,z'
'-x,y+1/2,-z+1/2'
'x,-y+1/2,z+1/2'
loop_
_atom_site_label
_atom_site_type_symbol
_atom_site_fract_x
_atom_site_fract_y
_atom_site_fract_z
Ag1 Ag 0.1942 0.0799 0.1595
H1 H 0.0729 0.6347 0.7238
H2 H 0.1017 0.1342 0.5762
H3 H 0.1220 0.7131 0.4410
O1 O 0.0563 0.6406 0.8828
O2 O 0.1429 0.6343 0.4739